No. 1
A relaxed Rb4MgU4Cr4O24 crystal. Source: the Materials Project database, functional GGA+U.

a b c (Å): 7.2666 8.3806 10.4666
angles (deg): 91.00 102.91 90.37
Last column: nearest neighbours and their distance in Å.
Atoms (fractional coordinates):
Rb 0.0000 0.0000 0.0000  4 O 2.86-3.08
Rb 0.0085 0.9953 0.5197  3 O 2.85-3.13
Rb 0.0339 0.5042 0.6744  4 O 2.77-3.03
Rb 0.0748 0.5175 0.2481  2 O 2.80-3.02
Mg 0.1965 0.3806 0.9631  4 O 1.93-2.04
U 0.5244 0.2754 0.5533  2 O 1.84-1.85
U 0.5242 0.7194 0.0379  2 O 1.85-1.95
U 0.5474 0.7821 0.6944  2 O 1.85
U 0.5667 0.2258 0.1942  2 O 1.84-1.91
Cr 0.4193 0.8958 0.3121  1 O 1.62
Cr 0.4459 0.1208 0.8313  3 O 1.75-1.88
Cr 0.6390 0.6145 0.4171  1 O 1.62
Cr 0.6832 0.3980 0.9257  3 O 1.74-1.86
O 0.1957 0.8864 0.3072  1 Cr 1.62
O 0.2287 0.1950 0.8495  1 Cr 1.75
O 0.2684 0.3165 0.5043  1 U 1.85
O 0.2779 0.6151 0.9812  1 U 1.95, 1 Mg 2.04
O 0.2949 0.7293 0.6352  1 U 1.85
O 0.3073 0.2798 0.1327  1 U 1.91, 1 Mg 1.98
O 0.4559 0.9598 0.1528  1 Cr 1.83
O 0.4627 0.0499 0.6634  1 Cr 1.88
O 0.4628 0.8953 0.8791  1 Cr 1.96
O 0.4836 0.6879 0.2597  2 Cr 1.89-1.91
O 0.5058 0.0987 0.3735  1 Cr 1.86
O 0.5210 0.3321 0.7716  2 Cr 1.85-2.00
O 0.5659 0.8176 0.4699  2 Cr 1.89-1.90
O 0.5702 0.4080 0.3592  1 Cr 1.85
O 0.6122 0.5489 0.5779  1 Cr 1.83
O 0.6190 0.6167 0.8682  1 Cr 1.97
O 0.6227 0.4572 0.0831  1 Cr 1.86
O 0.6292 0.1755 0.9803  2 Cr 1.86-2.02
O 0.7718 0.7827 0.1060  1 U 1.85
O 0.7796 0.2360 0.5997  1 U 1.84
O 0.8004 0.8413 0.7376  1 U 1.85
O 0.8213 0.1901 0.2541  1 U 1.84
O 0.8631 0.6340 0.4222  1 Cr 1.62
O 0.9257 0.3856 0.9395  1 Cr 1.74, 1 Mg 1.93

The relative energy among the computed polymorphs comes out at 3 meV per atom. Its space-group type is P1 (1).


No. 2
A relaxed FeC2O6 crystal. Source: the Materials Project database, functional GGA+U.

a b c (Å): 4.8252 8.3466 11.6014
angles (deg): 83.16 78.02 89.97
Last column: nearest neighbours and their distance in Å.
Atoms (fractional coordinates):
Fe 0.1249 0.3751 0.2500  6 O 2.02-2.04
Fe 0.3750 0.1249 0.7499  6 O 2.00-2.03
Fe 0.6250 0.8751 0.2501  6 O 2.00-2.03
Fe 0.8751 0.6249 0.7500  6 O 2.02-2.04
C 0.0718 0.6931 0.3524  3 O 1.28-1.29
C 0.1780 0.0570 0.1478  3 O 1.28-1.29
C 0.3254 0.4388 0.8518  3 O 1.28-1.29
C 0.4245 0.8111 0.6481  3 O 1.28-1.29
C 0.5755 0.1889 0.3519  3 O 1.28-1.29
C 0.6746 0.5612 0.1482  3 O 1.28-1.29
C 0.8220 0.9430 0.8522  3 O 1.28-1.29
C 0.9282 0.3069 0.6476  3 O 1.28-1.29
O 0.0148 0.9343 0.1489  1 C 1.29
O 0.0641 0.4635 0.8509  1 C 1.28
O 0.0831 0.2006 0.1451  1 C 1.28
O 0.1668 0.5497 0.3550  1 C 1.28
O 0.1940 0.2846 0.6451  1 C 1.29
O 0.2350 0.8159 0.3510  1 C 1.29
O 0.2550 0.6942 0.6438  1 C 1.29
O 0.3142 0.2137 0.3510  1 C 1.28
O 0.3263 0.9553 0.6474  1 C 1.29
O 0.4237 0.2947 0.8525  1 C 1.29
O 0.4438 0.0346 0.1453  1 C 1.29
O 0.4949 0.5558 0.8560  1 C 1.29
O 0.5051 0.4442 0.1440  1 C 1.29
O 0.5562 0.9654 0.8547  1 C 1.29
O 0.5763 0.7053 0.1475  1 C 1.29
O 0.6736 0.0447 0.3526  1 C 1.29
O 0.6858 0.7863 0.6490  1 C 1.28
O 0.7450 0.3058 0.3562  1 C 1.29
O 0.7650 0.1841 0.6490  1 C 1.29
O 0.8060 0.7154 0.3549  1 C 1.29
O 0.8332 0.4503 0.6450  1 C 1.28
O 0.9169 0.7994 0.8549  1 C 1.28
O 0.9359 0.5365 0.1491  1 C 1.28
O 0.9852 0.0657 0.8511  1 C 1.29

The relative energy among the computed polymorphs comes out at 2 meV per atom. Its space-group type is P-1 (2).


Computed formation energy (kJ/mol of atoms) in order:
-268.5, -152.7
Computed calculated volume (Å³/cell) in order:
621.16, 453.68
Computed spin magnetization (μB/f.u.) in order:
6.0, 4.0